! GGA+U KNa7V8O20, relaxed; values from VASP
&SYSTEM
  ibrav = 0, nat = 72, ntyp = 4
/
ATOMIC_SPECIES
K 39.10 K.upf
Na 22.99 Na.upf
V 50.94 V.upf
O 16.00 O.upf
CELL_PARAMETERS angstrom
14.6635 -5.6140 0.0000
14.6635 5.6140 0.0000
-0.0430 0.0000 5.4637
ATOMIC_POSITIONS crystal
K 0.1349 0.8651 0.5000
K 0.8651 0.1349 0.0000
Na 0.0002 0.2805 0.9993
Na 0.1355 0.3569 0.9987
Na 0.2778 0.4986 0.9974
Na 0.2805 0.0002 0.4993
Na 0.3569 0.1355 0.4987
Na 0.3579 0.6339 0.9995
Na 0.4986 0.2778 0.4974
Na 0.5012 0.7780 0.9983
Na 0.6339 0.3579 0.4995
Na 0.6352 0.8570 0.9992
Na 0.7768 0.9988 0.9983
Na 0.7780 0.5012 0.4983
Na 0.8570 0.6352 0.4992
Na 0.9988 0.7768 0.4983
V 0.0637 0.8153 0.9910
V 0.0655 0.3204 0.4875
V 0.1573 0.4773 0.5404
V 0.1636 0.9773 0.0316
V 0.3204 0.0655 0.9875
V 0.3198 0.5626 0.4897
V 0.4773 0.1573 0.0404
V 0.4817 0.6546 0.5413
V 0.5626 0.3198 0.9897
V 0.5659 0.8191 0.4878
V 0.6546 0.4817 0.0413
V 0.6546 0.9785 0.5415
V 0.8153 0.0637 0.4910
V 0.8191 0.5659 0.9878
V 0.9773 0.1636 0.5316
V 0.9785 0.6546 0.0415
O 0.0087 0.6258 0.3821
O 0.0241 0.1255 0.8617
O 0.1255 0.0241 0.3617
O 0.1269 0.5075 0.8811
O 0.1614 0.8657 0.9905
O 0.1669 0.3596 0.4735
O 0.1780 0.1968 0.7143
O 0.1788 0.6922 0.2158
O 0.1968 0.1780 0.2143
O 0.1972 0.6743 0.7194
O 0.2764 0.4656 0.4729
O 0.2850 0.9619 0.9679
O 0.3596 0.1669 0.9735
O 0.3716 0.6535 0.4755
O 0.4393 0.4535 0.2441
O 0.4422 0.9554 0.7448
O 0.4535 0.4393 0.7441
O 0.4555 0.9409 0.2461
O 0.4656 0.2764 0.9729
O 0.4675 0.7757 0.4728
O 0.5075 0.1269 0.3811
O 0.5067 0.6307 0.8836
O 0.6258 0.0087 0.8821
O 0.6307 0.5067 0.3836
O 0.6535 0.3716 0.9755
O 0.6664 0.8593 0.4741
O 0.6743 0.1972 0.2194
O 0.6783 0.6960 0.7156
O 0.6922 0.1788 0.7158
O 0.6960 0.6783 0.2156
O 0.7734 0.9671 0.4747
O 0.7757 0.4675 0.9728
O 0.8593 0.6664 0.9741
O 0.8657 0.1614 0.4905
O 0.9366 0.9498 0.2534
O 0.9409 0.4555 0.7461
O 0.9498 0.9366 0.7534
O 0.9554 0.4422 0.2448
O 0.9619 0.2850 0.4679
O 0.9671 0.7734 0.9747
! Space-group type: Cc (9)
! Energy in eV for the cell shown: -476.44
! Mass density in g/cm³: 3.4
! ΔH_f (0 K) in kJ per mole of atoms: -224.0
! Magnetization in Bohr magnetons per cell: 16.00



! GGA+U KNaW2O5, relaxed; values from VASP
&SYSTEM
  ibrav = 0, nat = 144, ntyp = 4
/
ATOMIC_SPECIES
K 39.10 K.upf
Na 22.99 Na.upf
W 183.84 W.upf
O 16.00 O.upf
CELL_PARAMETERS angstrom
11.6452 0.0000 0.0000
0.0067 11.7592 0.0000
5.7736 5.8158 15.5147
ATOMIC_POSITIONS crystal
K 0.0000 0.0000 0.0000
K 0.0004 0.4969 0.9969
K 0.1013 0.5779 0.2874
K 0.1143 0.5848 0.7737
K 0.2486 0.2236 0.0007
K 0.2516 0.7308 0.9985
K 0.3522 0.3562 0.2854
K 0.3621 0.3633 0.7736
K 0.4953 0.9976 0.0018
K 0.5007 0.4999 0.9975
K 0.6129 0.5871 0.7733
K 0.7483 0.2283 0.0021
K 0.7501 0.7298 0.0001
K 0.8509 0.8533 0.2890
K 0.8525 0.3573 0.2863
K 0.8618 0.8629 0.7758
Na 0.0005 0.5051 0.4947
Na 0.0027 0.0053 0.4949
Na 0.0974 0.0747 0.3004
Na 0.1054 0.0804 0.7884
Na 0.2521 0.7275 0.4925
Na 0.2543 0.2201 0.4964
Na 0.3497 0.8514 0.2981
Na 0.3551 0.8562 0.7888
Na 0.5017 0.0083 0.4961
Na 0.5032 0.5040 0.4929
Na 0.6002 0.0724 0.2985
Na 0.6027 0.5735 0.2960
Na 0.6069 0.0797 0.7877
Na 0.7501 0.2240 0.4959
Na 0.7554 0.7226 0.4938
Na 0.8567 0.3568 0.7874
W 0.0379 0.7894 0.3986
W 0.0392 0.2849 0.3984
W 0.0492 0.7953 0.8868
W 0.0502 0.2933 0.8858
W 0.2056 0.3786 0.1410
W 0.2070 0.8869 0.1521
W 0.2175 0.8907 0.6404
W 0.2176 0.3831 0.6310
W 0.2891 0.0364 0.3977
W 0.2892 0.5414 0.3957
W 0.2991 0.0418 0.8875
W 0.3011 0.5467 0.8849
W 0.4545 0.1820 0.1518
W 0.4578 0.6980 0.1485
W 0.4660 0.1929 0.6400
W 0.4663 0.7091 0.6299
W 0.5379 0.2889 0.3961
W 0.5388 0.7886 0.3943
W 0.5481 0.2928 0.8879
W 0.5513 0.7955 0.8868
W 0.6984 0.8865 0.1445
W 0.7015 0.3825 0.1432
W 0.7125 0.8916 0.6354
W 0.7199 0.3791 0.6381
W 0.7854 0.0390 0.3982
W 0.7887 0.5380 0.3981
W 0.7982 0.0471 0.8855
W 0.8007 0.5434 0.8859
W 0.9557 0.6988 0.1421
W 0.9566 0.1893 0.1497
W 0.9667 0.7026 0.6346
W 0.9690 0.2027 0.6386
O 0.1054 0.3744 0.2571
O 0.1067 0.8995 0.2597
O 0.1099 0.2127 0.1653
O 0.1130 0.3764 0.7462
O 0.1134 0.7467 0.1426
O 0.1142 0.8972 0.7494
O 0.1351 0.2211 0.6424
O 0.1350 0.7518 0.6221
O 0.1547 0.4005 0.4182
O 0.1559 0.9054 0.4133
O 0.1711 0.9140 0.8948
O 0.1717 0.1680 0.3812
O 0.1719 0.4138 0.8963
O 0.1728 0.6744 0.3846
O 0.1796 0.1721 0.8743
O 0.1827 0.6782 0.8752
O 0.2145 0.0089 0.5322
O 0.2163 0.5149 0.5314
O 0.2285 0.4931 0.0297
O 0.2289 0.9819 0.0307
O 0.3463 0.5855 0.2584
O 0.3525 0.0642 0.2594
O 0.3615 0.8408 0.1651
O 0.3645 0.0789 0.7495
O 0.3660 0.3344 0.1394
O 0.3670 0.6005 0.7463
O 0.3817 0.8588 0.6433
O 0.3868 0.3513 0.6205
O 0.4054 0.9029 0.4141
O 0.4075 0.4100 0.4117
O 0.4198 0.4159 0.8973
O 0.4223 0.9146 0.8944
O 0.4235 0.1664 0.3822
O 0.4251 0.6750 0.3752
O 0.4306 0.1697 0.8772
O 0.4310 0.6781 0.8747
O 0.4616 0.1850 0.5311
O 0.4621 0.6785 0.5304
O 0.4803 0.2093 0.0296
O 0.4838 0.7078 0.0318
O 0.5993 0.8966 0.2568
O 0.6058 0.2175 0.1681
O 0.6061 0.3915 0.2570
O 0.6104 0.3781 0.7496
O 0.6140 0.7214 0.1622
O 0.6183 0.8925 0.7487
O 0.6306 0.2255 0.6419
O 0.6356 0.7488 0.6198
O 0.6536 0.9051 0.4137
O 0.6559 0.4049 0.4134
O 0.6687 0.9153 0.8977
O 0.6701 0.1711 0.3802
O 0.6695 0.6685 0.3837
O 0.6730 0.4130 0.8953
O 0.6797 0.1758 0.8744
O 0.6813 0.6748 0.8771
O 0.7027 0.0143 0.5322
O 0.7158 0.5052 0.5348
O 0.7236 0.9945 0.0289
O 0.7251 0.4925 0.0298
O 0.8488 0.0805 0.2597
O 0.8526 0.0951 0.7478
O 0.8542 0.5898 0.2587
O 0.8570 0.8400 0.1460
O 0.8620 0.3364 0.1401
O 0.8719 0.5852 0.7474
O 0.8811 0.8557 0.6237
O 0.8873 0.3570 0.6390
O 0.9049 0.4031 0.4175
O 0.9053 0.9064 0.4154
O 0.9201 0.4134 0.8950
O 0.9207 0.1655 0.3867
O 0.9210 0.9177 0.8964
O 0.9216 0.6686 0.3855
O 0.9306 0.1758 0.8730
O 0.9310 0.6732 0.8766
O 0.9584 0.6785 0.5323
O 0.9669 0.1808 0.5343
O 0.9794 0.7022 0.0268
O 0.9824 0.2112 0.0280
! Space-group type: P1 (1)
! Energy in eV for the cell shown: -912.38
! Mass density in g/cm³: 6.4
! ΔH_f (0 K) in kJ per mole of atoms: -174.2
! Magnetization in Bohr magnetons per cell: 64.00



! GGA+U K3NaW2O8, relaxed; values from VASP
&SYSTEM
  ibrav = 0, nat = 28, ntyp = 4
/
ATOMIC_SPECIES
K 39.10 K.upf
Na 22.99 Na.upf
W 183.84 W.upf
O 16.00 O.upf
CELL_PARAMETERS angstrom
5.3923 -3.0868 0.0000
5.3923 3.0868 0.0000
-0.0841 0.0000 15.6267
ATOMIC_POSITIONS crystal
K 0.0615 0.9385 0.7500
K 0.3052 0.3521 0.4112
K 0.3521 0.3052 0.9112
K 0.6479 0.6948 0.0888
K 0.6948 0.6479 0.5888
K 0.9385 0.0615 0.2500
Na 0.0000 0.0000 0.0000
Na 0.0000 0.0000 0.5000
W 0.3166 0.3620 0.1363
W 0.3620 0.3166 0.6363
W 0.6380 0.6834 0.3637
W 0.6834 0.6380 0.8637
O 0.1418 0.2306 0.0894
O 0.1442 0.6967 0.1228
O 0.2306 0.1418 0.5894
O 0.2368 0.6040 0.5766
O 0.2697 0.3938 0.7460
O 0.3033 0.8558 0.3772
O 0.3938 0.2697 0.2460
O 0.3960 0.7632 0.9234
O 0.6040 0.2368 0.0766
O 0.6062 0.7303 0.7540
O 0.6967 0.1442 0.6228
O 0.7303 0.6062 0.2540
O 0.7632 0.3960 0.4234
O 0.7694 0.8582 0.4106
O 0.8558 0.3033 0.8772
O 0.8582 0.7694 0.9106
! Space-group type: C2/c (15)
! Energy in eV for the cell shown: -174.40
! Mass density in g/cm³: 4.1
! ΔH_f (0 K) in kJ per mole of atoms: -216.5
! Magnetization in Bohr magnetons per cell: 0.00



! GGA+U KNaW4O12, relaxed; values from VASP
&SYSTEM
  ibrav = 0, nat = 18, ntyp = 4
/
ATOMIC_SPECIES
K 39.10 K.upf
Na 22.99 Na.upf
W 183.84 W.upf
O 16.00 O.upf
CELL_PARAMETERS angstrom
5.5455 0.0000 0.0000
0.0000 5.5455 0.0000
0.0000 0.0000 7.8486
ATOMIC_POSITIONS crystal
K 0.0000 0.0000 0.0000
Na 0.5000 0.5000 0.5000
W 0.0000 0.5000 0.2510
W 0.0000 0.5000 0.7490
W 0.5000 0.0000 0.2510
W 0.5000 0.0000 0.7490
O 0.0000 0.5000 0.0000
O 0.0000 0.5000 0.5000
O 0.2521 0.2521 0.2523
O 0.2521 0.2521 0.7477
O 0.2521 0.7479 0.2523
O 0.2521 0.7479 0.7477
O 0.5000 0.0000 0.0000
O 0.5000 0.0000 0.5000
O 0.7479 0.2521 0.2523
O 0.7479 0.2521 0.7477
O 0.7479 0.7479 0.2523
O 0.7479 0.7479 0.7477
! Space-group type: P4/mmm (123)
! Energy in eV for the cell shown: -126.90
! Mass density in g/cm³: 6.8
! ΔH_f (0 K) in kJ per mole of atoms: -210.4
! Magnetization in Bohr magnetons per cell: 2.00



> Which of these has the lowest mass density?

KNa7V8O20